Compound: Nb2NiO6
Source: the Materials Project database
Functional: PBE with a Hubbard U
Structure: optimized geometry

abc: 4.803 10.373 9.606
angles: 62.42 90.00 90.00
Atoms (fractional coordinates):
Nb: 0.000 0.998 0.001
Nb: 0.000 0.998 0.501
Nb: 0.000 0.335 0.332
Nb: 0.000 0.335 0.832
Nb: 0.500 0.835 0.832
Nb: 0.500 0.835 0.332
Nb: 0.500 0.498 0.001
Nb: 0.500 0.498 0.501
Ni: 0.000 0.667 0.167
Ni: 0.500 0.167 0.167
Ni: 0.000 0.667 0.667
Ni: 0.500 0.167 0.667
O: 0.191 0.167 0.012
O: 0.191 0.167 0.512
O: 0.309 0.667 0.012
O: 0.309 0.667 0.512
O: 0.691 0.667 0.821
O: 0.691 0.667 0.321
O: 0.809 0.167 0.321
O: 0.809 0.167 0.821
O: 0.202 0.840 0.681
O: 0.202 0.840 0.181
O: 0.202 0.493 0.854
O: 0.202 0.493 0.354
O: 0.298 0.993 0.854
O: 0.298 0.993 0.354
O: 0.298 0.340 0.181
O: 0.298 0.340 0.681
O: 0.702 0.993 0.652
O: 0.702 0.993 0.152
O: 0.702 0.340 0.979
O: 0.702 0.340 0.479
O: 0.798 0.840 0.979
O: 0.798 0.840 0.479
O: 0.798 0.493 0.152
O: 0.798 0.493 0.652

Computed properties:
Its MP2020-corrected energy is -317.2 eV per cell. Its volume is 424 Å³ per cell. Its polymorph energy (0 for the lowest one) is 0.756 kcal/mol of atoms. The calculation puts the energy relative to the elements at -2.626 eV per atom. The calculation puts the density at 5.3 g/cm³.